{"formula": "Ba2Ca7I18", "functional": "PBE-GGA", "state": "relaxed", "space_group": "P-1, No. 2", "e_tot_ev_per_atom": -3.28, "lattice": [[-2.834, -1.367, 9.883], [-3.857, -9.937, -3.487], [11.021, -2.151, -2.399]], "species": ["Ba", "Ba", "Ca", "Ca", "Ca", "Ca", "Ca", "Ca", "Ca", "I", "I", "I", "I", "I", "I", "I", "I", "I", "I", "I", "I", "I", "I", "I", "I", "I", "I"], "frac_coords": [[0.692, 0.390, 0.232], [0.308, 0.610, 0.768], [0.795, 0.818, 0.117], [0.000, 0.500, 0.000], [0.799, 0.789, 0.611], [0.594, 0.113, 0.703], [0.406, 0.887, 0.297], [0.201, 0.211, 0.389], [0.205, 0.182, 0.883], [0.879, 0.087, 0.242], [0.863, 0.698, 0.371], [0.940, 0.561, 0.720], [0.918, 0.222, 0.898], [0.708, 0.029, 0.501], [0.475, 0.818, 0.060], [0.489, 0.659, 0.426], [0.662, 0.857, 0.809], [0.314, 0.459, 0.030], [0.686, 0.541, 0.970], [0.338, 0.143, 0.191], [0.511, 0.341, 0.574], [0.525, 0.182, 0.940], [0.292, 0.971, 0.499], [0.082, 0.778, 0.102], [0.060, 0.439, 0.280], [0.137, 0.302, 0.629], [0.121, 0.913, 0.758]]}

{"formula": "Rb2LiCeBr6", "functional": "PBE-GGA", "state": "relaxed", "space_group": "Fm-3m, No. 225", "e_tot_ev_per_atom": -3.74, "lattice": [[0.000, 5.644, 5.644], [5.644, 0.000, 5.644], [5.644, 5.644, 0.000]], "species": ["Rb", "Rb", "Li", "Ce", "Br", "Br", "Br", "Br", "Br", "Br"], "frac_coords": [[0.750, 0.750, 0.750], [0.250, 0.250, 0.250], [0.500, 0.500, 0.500], [0.000, 0.000, 0.000], [0.744, 0.256, 0.256], [0.256, 0.256, 0.744], [0.256, 0.744, 0.744], [0.256, 0.744, 0.256], [0.744, 0.256, 0.744], [0.744, 0.744, 0.256]]}

{"formula": "CeAlNi4", "functional": "PBE-GGA", "state": "relaxed", "space_group": "P-6m2, No. 187", "e_tot_ev_per_atom": -5.90, "lattice": [[-0.374, 4.407, 2.569], [-3.459, -3.694, 0.740], [2.195, -1.482, 2.862]], "species": ["Ce", "Al", "Ni", "Ni", "Ni", "Ni"], "frac_coords": [[0.667, 0.333, 0.000], [0.000, 0.000, 0.000], [0.333, 0.667, 0.000], [0.662, 0.831, 0.500], [0.169, 0.831, 0.500], [0.169, 0.338, 0.500]]}

{"formula": "MgAg2Sb2O6", "functional": "PBE-GGA", "state": "relaxed", "e_above_lowest_polymorph_mev_per_atom": 39, "space_group": "R-3, No. 148", "e_tot_ev_per_atom": -5.20, "lattice": [[-3.297, -5.580, 2.052], [2.237, -5.652, 3.045], [-1.148, -2.482, 6.224]], "species": ["Mg", "Ag", "Ag", "Sb", "Sb", "O", "O", "O", "O", "O", "O"], "frac_coords": [[0.500, 0.500, 0.500], [0.335, 0.335, 0.335], [0.665, 0.665, 0.665], [0.155, 0.155, 0.155], [0.845, 0.845, 0.845], [0.765, 0.468, 0.091], [0.532, 0.909, 0.235], [0.909, 0.235, 0.532], [0.091, 0.765, 0.468], [0.468, 0.091, 0.765], [0.235, 0.532, 0.909]]}

{"formula": "Rb2NbTlF6", "functional": "PBE-GGA", "state": "relaxed", "space_group": "Fm-3m, No. 225", "e_tot_ev_per_atom": -5.07, "lattice": [[3.037, -5.923, 1.045], [-2.590, -5.628, -2.650], [3.168, -3.103, -5.074]], "species": ["Rb", "Rb", "Nb", "Tl", "F", "F", "F", "F", "F", "F"], "frac_coords": [[0.750, 0.750, 0.750], [0.250, 0.250, 0.250], [0.000, 0.000, 0.000], [0.500, 0.500, 0.500], [0.779, 0.221, 0.221], [0.221, 0.221, 0.779], [0.221, 0.779, 0.779], [0.221, 0.779, 0.221], [0.779, 0.221, 0.779], [0.779, 0.779, 0.221]]}

{"formula": "Gd3SOF5", "functional": "PBE-GGA", "state": "relaxed", "space_group": "Pm, No. 6", "e_tot_ev_per_atom": -9.74, "lattice": [[-2.124, -0.295, -3.079], [-5.626, -6.258, 4.481], [-7.596, 3.163, 4.936]], "species": ["Gd", "Gd", "Gd", "Gd", "Gd", "Gd", "S", "S", "O", "O", "F", "F", "F", "F", "F", "F", "F", "F", "F", "F"], "frac_coords": [[0.000, 0.418, 0.865], [0.000, 0.866, 0.729], [0.000, 0.701, 0.416], [0.500, 0.595, 0.104], [0.500, 0.123, 0.285], [0.500, 0.296, 0.597], [0.000, 0.329, 0.333], [0.500, 0.673, 0.662], [0.000, 0.436, 0.613], [0.000, 0.617, 0.948], [0.000, 0.159, 0.120], [0.000, 0.113, 0.727], [0.000, 0.725, 0.163], [0.500, 0.855, 0.882], [0.500, 0.879, 0.284], [0.500, 0.272, 0.851], [0.000, 0.952, 0.434], [0.500, 0.569, 0.375], [0.500, 0.378, 0.047], [0.500, 0.045, 0.567]]}

{"formula": "Rb2Co3S4", "functional": "PBE-GGA", "state": "relaxed", "space_group": "Ibam, No. 72", "e_tot_ev_per_atom": -5.06, "lattice": [[-3.483, -6.176, 5.278], [4.558, 2.622, 7.105], [-6.523, 2.143, -5.566]], "species": ["Rb", "Rb", "Rb", "Rb", "Co", "Co", "Co", "Co", "Co", "Co", "S", "S", "S", "S", "S", "S", "S", "S"], "frac_coords": [[0.624, 0.259, 0.882], [0.376, 0.741, 0.118], [0.124, 0.241, 0.365], [0.876, 0.759, 0.635], [0.750, 0.250, 0.500], [0.250, 0.750, 0.500], [0.003, 0.750, 0.253], [0.497, 0.750, 0.747], [0.997, 0.250, 0.747], [0.503, 0.250, 0.253], [0.039, 0.415, 0.125], [0.290, 0.915, 0.875], [0.210, 0.085, 0.625], [0.461, 0.585, 0.375], [0.961, 0.585, 0.875], [0.710, 0.085, 0.125], [0.790, 0.915, 0.375], [0.539, 0.415, 0.625]]}

{"formula": "MgAl4Cu2O8", "functional": "PBE-GGA", "state": "relaxed", "e_above_lowest_polymorph_mev_per_atom": 77, "space_group": "P1, No. 1", "e_tot_ev_per_atom": -6.44, "lattice": [[0.477, -1.439, 5.645], [4.050, 2.764, 3.000], [-6.249, 0.783, 1.509]], "species": ["Mg", "Al", "Al", "Al", "Al", "Cu", "Cu", "O", "O", "O", "O", "O", "O", "O", "O"], "frac_coords": [[0.172, 0.656, 0.827], [0.846, 0.308, 0.156], [0.343, 0.315, 0.158], [0.188, 0.077, 0.485], [0.733, 0.078, 0.591], [0.748, 0.670, 0.999], [0.578, 0.678, 0.673], [0.439, 0.640, 0.310], [0.920, 0.641, 0.330], [0.243, 0.006, 0.005], [0.315, 0.289, 0.448], [0.397, 0.289, 0.842], [0.751, 0.005, 0.004], [0.870, 0.199, 0.413], [0.933, 0.193, 0.782]]}

{"formula": "TeI4", "functional": "PBE-GGA", "state": "relaxed", "e_above_lowest_polymorph_mev_per_atom": 0, "space_group": "Pnma, No. 62", "e_tot_ev_per_atom": -1.97, "lattice": [[14.695, 0.000, 0.000], [0.000, 15.218, 0.000], [0.000, 0.000, 17.530]], "species": ["Te", "Te", "Te", "Te", "Te", "Te", "Te", "Te", "Te", "Te", "Te", "Te", "Te", "Te", "Te", "Te", "I", "I", "I", "I", "I", "I", "I", "I", "I", "I", "I", "I", "I", "I", "I", "I", "I", "I", "I", "I", "I", "I", "I", "I", "I", "I", "I", "I", "I", "I", "I", "I", "I", "I", "I", "I", "I", "I", "I", "I", "I", "I", "I", "I", "I", "I", "I", "I", "I", "I", "I", "I", "I", "I", "I", "I", "I", "I", "I", "I", "I", "I", "I", "I"], "frac_coords": [[0.138, 0.328, 0.888], [0.138, 0.328, 0.612], [0.135, 0.061, 0.750], [0.640, 0.906, 0.750], [0.362, 0.828, 0.388], [0.360, 0.094, 0.250], [0.365, 0.561, 0.250], [0.140, 0.594, 0.750], [0.862, 0.672, 0.112], [0.862, 0.672, 0.388], [0.638, 0.172, 0.888], [0.860, 0.406, 0.250], [0.638, 0.172, 0.612], [0.635, 0.439, 0.750], [0.362, 0.828, 0.112], [0.865, 0.939, 0.250], [0.261, 0.403, 0.992], [0.480, 0.987, 0.376], [0.761, 0.097, 0.508], [0.024, 0.254, 0.998], [0.246, 0.665, 0.375], [0.739, 0.597, 0.008], [0.253, 0.165, 0.367], [0.976, 0.746, 0.002], [0.971, 0.011, 0.369], [0.269, 0.930, 0.750], [0.243, 0.912, 0.250], [0.520, 0.013, 0.876], [0.524, 0.246, 0.998], [0.029, 0.989, 0.869], [0.480, 0.987, 0.124], [0.976, 0.746, 0.498], [0.471, 0.489, 0.369], [0.753, 0.335, 0.367], [0.247, 0.665, 0.867], [0.254, 0.165, 0.625], [0.239, 0.903, 0.492], [0.497, 0.223, 0.250], [0.746, 0.835, 0.125], [0.980, 0.513, 0.376], [0.517, 0.257, 0.750], [0.754, 0.335, 0.625], [0.017, 0.243, 0.750], [0.020, 0.487, 0.624], [0.743, 0.588, 0.250], [0.769, 0.570, 0.750], [0.520, 0.013, 0.624], [0.029, 0.989, 0.631], [0.983, 0.757, 0.250], [0.231, 0.430, 0.250], [0.997, 0.277, 0.250], [0.503, 0.777, 0.750], [0.024, 0.254, 0.502], [0.731, 0.070, 0.250], [0.753, 0.335, 0.133], [0.003, 0.723, 0.750], [0.747, 0.835, 0.867], [0.529, 0.511, 0.869], [0.747, 0.835, 0.633], [0.261, 0.403, 0.508], [0.746, 0.835, 0.375], [0.754, 0.335, 0.875], [0.971, 0.011, 0.131], [0.239, 0.903, 0.008], [0.253, 0.165, 0.133], [0.254, 0.165, 0.875], [0.739, 0.597, 0.492], [0.980, 0.513, 0.124], [0.476, 0.754, 0.498], [0.020, 0.487, 0.876], [0.246, 0.665, 0.125], [0.757, 0.088, 0.750], [0.476, 0.754, 0.002], [0.761, 0.097, 0.992], [0.524, 0.246, 0.502], [0.471, 0.489, 0.131], [0.247, 0.665, 0.633], [0.257, 0.412, 0.750], [0.529, 0.511, 0.631], [0.483, 0.743, 0.250]]}

{"formula": "SiO2", "functional": "PBE-GGA", "state": "relaxed", "space_group": "Ama2, No. 40", "e_tot_ev_per_atom": -7.91, "piezo_max_c_m2": 0.102, "lattice": [[-3.520, 1.608, -3.365], [-1.322, -2.960, 3.973], [-1.325, 6.840, 4.655]], "species": ["Si", "Si", "Si", "Si", "O", "O", "O", "O", "O", "O", "O", "O"], "frac_coords": [[0.330, 0.661, 0.063], [0.661, 0.330, 0.563], [0.330, 0.661, 0.437], [0.661, 0.330, 0.937], [0.407, 0.407, 0.000], [0.969, 0.529, 0.459], [0.737, 0.417, 0.750], [0.529, 0.969, 0.541], [0.417, 0.737, 0.250], [0.529, 0.969, 0.959], [0.407, 0.407, 0.500], [0.969, 0.529, 0.041]]}

{"formula": "SrCaEuBiO6", "functional": "PBE-GGA", "state": "relaxed", "e_above_lowest_polymorph_mev_per_atom": 0, "space_group": "P222, No. 16", "e_tot_ev_per_atom": -6.89, "lattice": [[-2.025, 7.808, 2.821], [-2.624, -3.357, 7.407], [7.875, 0.889, 3.192]], "species": ["Sr", "Sr", "Sr", "Sr", "Ca", "Ca", "Ca", "Ca", "Eu", "Eu", "Eu", "Eu", "Bi", "Bi", "Bi", "Bi", "O", "O", "O", "O", "O", "O", "O", "O", "O", "O", "O", "O", "O", "O", "O", "O", "O", "O", "O", "O", "O", "O", "O", "O"], "frac_coords": [[0.000, 0.500, 0.500], [0.500, 0.000, 0.500], [0.500, 0.500, 0.000], [0.000, 0.500, 0.000], [0.500, 0.000, 0.000], [0.000, 0.000, 0.500], [0.000, 0.000, 0.000], [0.500, 0.500, 0.500], [0.250, 0.248, 0.250], [0.750, 0.752, 0.250], [0.750, 0.248, 0.750], [0.250, 0.752, 0.750], [0.750, 0.753, 0.750], [0.250, 0.247, 0.750], [0.250, 0.753, 0.250], [0.750, 0.247, 0.250], [0.990, 0.189, 0.295], [0.010, 0.811, 0.295], [0.010, 0.189, 0.705], [0.990, 0.811, 0.705], [0.298, 0.991, 0.191], [0.298, 0.009, 0.809], [0.702, 0.009, 0.191], [0.702, 0.991, 0.809], [0.197, 0.286, 0.991], [0.803, 0.286, 0.009], [0.197, 0.714, 0.009], [0.803, 0.714, 0.991], [0.509, 0.301, 0.215], [0.491, 0.699, 0.215], [0.491, 0.301, 0.785], [0.509, 0.699, 0.785], [0.212, 0.510, 0.297], [0.212, 0.490, 0.703], [0.788, 0.490, 0.297], [0.788, 0.510, 0.703], [0.300, 0.212, 0.509], [0.700, 0.212, 0.491], [0.300, 0.788, 0.491], [0.700, 0.788, 0.509]]}

{"formula": "K8MgSi8O24", "functional": "PBE-GGA", "state": "relaxed", "e_above_lowest_polymorph_mev_per_atom": 2, "space_group": "P1, No. 1", "e_tot_ev_per_atom": -6.38, "lattice": [[0.170, 0.090, 7.598], [8.045, -0.341, -1.277], [-0.476, 11.061, 0.136]], "species": ["K", "K", "K", "K", "K", "K", "K", "K", "Mg", "Si", "Si", "Si", "Si", "Si", "Si", "Si", "Si", "O", "O", "O", "O", "O", "O", "O", "O", "O", "O", "O", "O", "O", "O", "O", "O", "O", "O", "O", "O", "O", "O", "O", "O"], "frac_coords": [[0.016, 0.002, 0.744], [0.577, 0.426, 0.805], [0.979, 0.013, 0.258], [0.463, 0.505, 0.231], [0.674, 0.168, 0.538], [0.196, 0.669, 0.983], [0.264, 0.864, 0.440], [0.848, 0.318, 0.021], [0.407, 0.660, 0.608], [0.987, 0.553, 0.677], [0.528, 0.973, 0.809], [0.006, 0.482, 0.321], [0.501, 0.997, 0.180], [0.780, 0.708, 0.495], [0.307, 0.171, 0.995], [0.192, 0.338, 0.525], [0.700, 0.785, 0.996], [0.943, 0.523, 0.819], [0.479, 0.892, 0.675], [0.086, 0.523, 0.188], [0.543, 0.063, 0.320], [0.803, 0.602, 0.615], [0.351, 0.050, 0.873], [0.172, 0.460, 0.411], [0.676, 0.925, 0.112], [0.012, 0.363, 0.614], [0.556, 0.815, 0.892], [0.907, 0.637, 0.383], [0.454, 0.148, 0.100], [0.155, 0.688, 0.648], [0.694, 0.120, 0.811], [0.869, 0.315, 0.286], [0.334, 0.855, 0.198], [0.847, 0.906, 0.518], [0.323, 0.366, 0.972], [0.175, 0.146, 0.475], [0.660, 0.595, 0.032], [0.571, 0.680, 0.463], [0.101, 0.126, 0.035], [0.373, 0.413, 0.598], [0.907, 0.812, 0.949]]}

Taking the records one at a time from the top gives formation enthalpy at 0 K values of -1857 -2094 -432 -1463 -2757 -4004 -860 -2514 -425 -3266 -2549 -2569 meV per atom.